[1]
Entry from the Materials Project: a relaxed structure of Mg2Nb2MoO8 (GGA+U).

**E_form**: -2.76 eV per atom
**V**: 12.0 A^3/atom

Lattice parameters (Å, degrees): 10.2006 10.2006 5.3368 90.35 90.35 34.28
Fractional coordinates of all 26 atoms:
1 Mg 0.0760 0.3747 0.2372
2 Mg 0.3747 0.0760 0.7372
3 Mg 0.6253 0.9240 0.2628
4 Mg 0.9240 0.6253 0.7628
5 Nb 0.2219 0.5402 0.2565
6 Nb 0.4598 0.7781 0.2435
7 Nb 0.5402 0.2219 0.7565
8 Nb 0.7781 0.4598 0.7435
9 Mo 0.1529 0.8471 0.7500
10 Mo 0.8471 0.1529 0.2500
11 O 0.0469 0.3417 0.8713
12 O 0.0628 0.8196 0.4072
13 O 0.1804 0.9372 0.0928
14 O 0.2103 0.4204 0.5560
15 O 0.3131 0.5458 0.9249
16 O 0.3417 0.0469 0.3713
17 O 0.4204 0.2103 0.0560
18 O 0.4542 0.6869 0.5751
19 O 0.5458 0.3131 0.4249
20 O 0.5796 0.7897 0.9440
21 O 0.6583 0.9531 0.6287
22 O 0.6869 0.4542 0.0751
23 O 0.7897 0.5796 0.4440
24 O 0.8196 0.0628 0.9072
25 O 0.9372 0.1804 0.5928
26 O 0.9531 0.6583 0.1287

=====

[2]
Entry from the Materials Project: a relaxed structure of Li11Fe6F29 (GGA+U).

**E_form**: -2.83 eV per atom
**V**: 12.5 A^3/atom

Lattice parameters (Å, degrees): 14.1688 14.1688 7.4501 90.39 90.39 22.59
Fractional coordinates of all 46 atoms:
1 Li 0.0000 0.0000 0.0000
2 Li 0.0941 0.0941 0.5991
3 Li 0.2275 0.2275 0.0834
4 Li 0.3233 0.3233 0.0518
5 Li 0.3443 0.3443 0.5815
6 Li 0.4406 0.4406 0.5454
7 Li 0.5594 0.5594 0.4546
8 Li 0.6557 0.6557 0.4185
9 Li 0.6767 0.6767 0.9482
10 Li 0.7725 0.7725 0.9166
11 Li 0.9059 0.9059 0.4009
12 Fe 0.0975 0.0975 0.1942
13 Fe 0.2311 0.2311 0.6808
14 Fe 0.4369 0.4369 0.1588
15 Fe 0.5631 0.5631 0.8412
16 Fe 0.7689 0.7689 0.3192
17 Fe 0.9025 0.9025 0.8058
18 F 0.0000 0.5000 0.5000
19 F 0.0299 0.0299 0.2274
20 F 0.0303 0.5270 0.1376
21 F 0.1488 0.6387 0.6245
22 F 0.1586 0.6762 0.9974
23 F 0.1629 0.1629 0.1296
24 F 0.1655 0.1655 0.6157
25 F 0.2225 0.6825 0.3443
26 F 0.2994 0.2994 0.7704
27 F 0.3175 0.7775 0.6557
28 F 0.3238 0.8414 0.0026
29 F 0.3613 0.8512 0.3755
30 F 0.3705 0.3705 0.2401
31 F 0.4730 0.9697 0.8624
32 F 0.5000 0.0000 0.5000
33 F 0.5000 0.5000 0.0000
34 F 0.5270 0.0303 0.1376
35 F 0.6295 0.6295 0.7599
36 F 0.6387 0.1488 0.6245
37 F 0.6762 0.1586 0.9974
38 F 0.6825 0.2225 0.3443
39 F 0.7006 0.7006 0.2296
40 F 0.7775 0.3175 0.6557
41 F 0.8345 0.8345 0.3843
42 F 0.8371 0.8371 0.8704
43 F 0.8414 0.3238 0.0026
44 F 0.8512 0.3613 0.3755
45 F 0.9697 0.4730 0.8624
46 F 0.9701 0.9701 0.7726

=====

[3]
Entry from the Materials Project: a relaxed structure of Li6FeNiP2C2O14 (GGA+U).

**E_form**: -2.32 eV per atom
**V**: 10.5 A^3/atom

Lattice parameters (Å, degrees): 4.9763 6.4955 8.4712 90.00 95.59 90.00
Fractional coordinates of all 26 atoms:
1 Li 0.0000 0.0000 0.0000
2 Li 0.0441 0.2693 0.6214
3 Li 0.0441 0.7307 0.6214
4 Li 0.5224 0.2332 0.1682
5 Li 0.5224 0.7668 0.1682
6 Li 0.5712 0.5000 0.7903
7 Fe 0.5680 0.0000 0.5590
8 Ni 0.9914 0.5000 0.2285
9 P 0.0573 0.0000 0.3063
10 P 0.5129 0.5000 0.4815
11 C 0.0962 0.5000 0.9379
12 C 0.4713 0.0000 0.8590
13 O 0.1654 0.5000 0.7940
14 O 0.1968 0.5000 0.4582
15 O 0.2801 0.5000 0.0594
16 O 0.2847 0.0000 0.7389
17 O 0.3730 0.0000 0.3240
18 O 0.4033 0.0000 0.0028
19 O 0.6181 0.3150 0.5868
20 O 0.6181 0.6850 0.5868
21 O 0.6191 0.5000 0.3164
22 O 0.7208 0.0000 0.8286
23 O 0.8460 0.5000 0.9682
24 O 0.9498 0.1871 0.2037
25 O 0.9498 0.8129 0.2037
26 O 0.9598 0.0000 0.4739